1.
# MgSi

A relaxed structure of MgSi (GGA-PBE, Materials Project).

extended XYZ file:
```
12
Lattice="4.468 0.000 0.000 -1.818 5.089 0.000 -0.865 -2.035 10.057" Properties=species:S:1:pos:R:3 pbc="T T T"
Mg 0.000 0.000 0.000
Mg -0.065 -0.117 3.342
Mg 0.010 -0.058 6.629
Mg 0.179 2.928 7.440
Mg 2.141 1.987 1.842
Mg 2.172 1.989 5.008
Si -0.666 0.821 9.654
Si -0.118 2.683 3.342
Si 0.344 4.281 1.546
Si 2.231 -0.818 5.101
Si 1.534 -0.227 9.237
Si 2.376 1.481 7.755
```

MP2020-corrected energy ... -3.444 eV per atom
Total magnetic moment ... 0.00 μB per formula unit
Crystal system ... triclinic
Space group ... P1 (1)

2.
# Mg14TiBiO16

A relaxed structure of Mg14TiBiO16 (GGA-PBE, Materials Project).

extended XYZ file:
```
32
Lattice="4.415 0.000 0.000 0.000 8.758 0.000 0.000 0.000 8.787" Properties=species:S:1:pos:R:3 pbc="T T T"
Mg 0.000 0.000 0.000
Mg 0.000 2.139 2.120
Mg 0.000 2.139 6.667
Mg 0.000 4.379 0.000
Mg 0.000 6.619 2.120
Mg 0.000 6.619 6.667
Mg 2.207 0.000 2.164
Mg 2.207 0.000 6.623
Mg 2.207 2.087 4.394
Mg 2.207 2.172 0.000
Mg 2.207 4.379 2.077
Mg 2.207 4.379 6.710
Mg 2.207 6.586 0.000
Mg 2.207 6.671 4.394
Ti 0.000 0.000 4.394
Bi 0.000 4.379 4.394
O 0.000 0.000 2.133
O 0.000 0.000 6.654
O 0.000 2.061 4.394
O 0.000 2.149 0.000
O 0.000 4.379 1.978
O 0.000 4.379 6.809
O 0.000 6.608 0.000
O 0.000 6.697 4.394
O 2.207 0.000 0.000
O 2.207 0.000 4.394
O 2.207 2.187 2.209
O 2.207 2.187 6.578
O 2.207 4.379 0.000
O 2.207 4.379 4.394
O 2.207 6.571 2.209
O 2.207 6.571 6.578
```

MP2020-corrected energy ... -6.262 eV per atom
Total magnetic moment ... 2.54 μB per formula unit
Crystal system ... orthorhombic
Space group ... Pmmm (47)

3.
# VS2

A relaxed structure of VS2 (GGA-PBE, Materials Project).

extended XYZ file:
```
3
Lattice="3.194 0.000 0.000 -1.597 2.766 0.000 0.000 0.000 6.538" Properties=species:S:1:pos:R:3 pbc="T T T"
V 0.000 0.000 0.000
S 0.000 1.844 5.072
S 1.597 0.922 1.466
```

MP2020-corrected energy ... -6.971 eV per atom
Crystal system ... trigonal
Space group ... P-3m1 (164)

4.
# HfCrAgS4

A relaxed structure of HfCrAgS4 (GGA-PBE, Materials Project).

extended XYZ file:
```
56
Lattice="7.099 0.000 0.000 0.052 11.880 0.000 0.013 0.137 12.991" Properties=species:S:1:pos:R:3 pbc="T T T"
Hf 0.000 0.000 0.000
Hf 0.124 8.850 6.355
Hf 1.960 3.037 11.023
Hf 2.122 6.063 4.431
Hf 3.502 0.232 4.545
Hf 3.692 8.861 11.023
Hf 5.502 2.842 6.409
Hf 5.619 8.875 2.001
Cr 0.108 3.441 1.273
Cr 0.166 5.641 7.725
Cr 1.844 0.124 8.919
Cr 2.263 9.186 1.688
Cr 3.622 3.245 1.512
Cr 3.753 5.855 9.288
Cr 5.411 6.101 12.895
Cr 5.512 11.535 7.777
Ag 0.092 8.990 10.743
Ag 0.266 0.339 4.410
Ag 1.962 6.174 12.643
Ag 1.989 2.961 6.194
Ag 3.678 0.316 12.513
Ag 3.742 8.901 6.459
Ag 5.390 6.155 4.137
Ag 5.590 2.906 10.629
S 0.046 7.893 3.933
S 0.053 1.258 7.373
S 0.145 4.636 5.650
S 0.246 10.244 8.538
S 0.375 10.637 2.198
S 0.361 1.089 10.629
S 1.807 1.928 0.491
S 1.862 7.127 6.806
S 1.860 4.805 2.233
S 1.892 4.338 8.861
S 1.930 10.519 5.469
S 1.963 10.251 12.464
S 2.055 7.294 10.212
S 2.126 1.950 3.678
S 3.439 7.965 3.525
S 3.526 1.400 10.190
S 3.740 10.327 8.946
S 3.716 1.153 7.016
S 3.789 4.346 12.298
S 3.808 7.764 0.466
S 3.821 4.686 5.416
S 3.887 10.813 2.303
S 5.362 7.055 10.648
S 5.397 4.766 1.969
S 5.431 1.877 4.114
S 5.457 4.313 8.519
S 5.523 10.355 12.370
S 5.521 10.608 5.648
S 5.587 1.779 0.854
S 5.627 7.293 7.327
S 7.060 7.566 0.498
S 7.082 4.502 12.178
```

MP2020-corrected energy ... -6.594 eV per atom
Total magnetic moment ... 3.05 μB per formula unit
Crystal system ... triclinic
ΔE to the lowest computed polymorph ... 208 meV per atom
Space group ... P1 (1)

5.
# CaCu3Bi4O12

A relaxed structure of CaCu3Bi4O12 (GGA-PBE, Materials Project).

extended XYZ file:
```
20
Lattice="-4.108 4.108 4.108 4.108 -4.108 4.108 4.108 4.108 -4.108" Properties=species:S:1:pos:R:3 pbc="T T T"
Ca 0.000 0.000 0.000
Cu 4.108 0.000 0.000
Cu 0.000 4.108 0.000
Cu 0.000 0.000 4.108
Bi 2.054 2.054 -2.054
Bi 2.054 -2.054 2.054
Bi -2.054 2.054 2.054
Bi 2.054 2.054 2.054
O 2.622 0.000 1.261
O 5.594 0.000 1.261
O 4.108 2.847 -1.486
O 1.261 2.622 0.000
O 2.847 -1.486 4.108
O 0.000 1.261 2.622
O 4.108 2.847 1.486
O 1.261 5.594 0.000
O 2.847 1.486 4.108
O 0.000 1.261 5.594
O -1.486 4.108 2.847
O 1.486 4.108 2.847
```

MP2020-corrected energy ... -5.928 eV per atom
Total magnetic moment ... 0.07 μB per formula unit
Crystal system ... cubic
Space group ... Im-3 (204)

6.
# PPbO4

A relaxed structure of PPbO4 (GGA-PBE, Materials Project).

extended XYZ file:
```
12
Lattice="4.515 0.000 0.000 0.000 6.878 0.000 -0.004 0.000 5.411" Properties=species:S:1:pos:R:3 pbc="T T T"
P -0.001 1.500 1.353
P -0.003 5.378 4.058
Pb 2.255 1.447 4.058
Pb 2.257 5.431 1.353
O 0.759 2.396 0.337
O 0.757 4.482 3.042
O 1.042 0.606 2.109
O 1.040 6.272 4.815
O 3.472 0.606 0.596
O 3.470 6.272 3.302
O 3.755 2.396 2.369
O 3.753 4.482 5.074
```

MP2020-corrected energy ... -6.920 eV per atom
Total magnetic moment ... 0.23 μB per formula unit
Crystal system ... monoclinic
Space group ... P2/c (13)

7.
# BaO10

A relaxed structure of BaO10 (GGA-PBE, Materials Project).

extended XYZ file:
```
44
Lattice="8.471 0.000 0.000 0.000 8.990 0.000 -6.353 0.000 9.469" Properties=species:S:1:pos:R:3 pbc="T T T"
Ba 2.045 1.450 0.034
Ba -1.131 3.045 4.769
Ba 3.250 5.945 4.701
Ba 0.073 7.540 9.435
O -1.938 0.352 4.184
O -5.114 4.143 8.919
O -4.973 5.376 9.022
O -1.796 8.110 4.287
O -3.425 4.596 6.720
O -0.248 8.889 1.985
O -2.657 5.292 5.812
O 0.519 8.193 1.078
O 0.017 1.219 2.022
O -3.159 3.276 6.757
O 0.238 5.335 3.666
O -2.938 8.150 8.401
O 1.107 4.712 2.832
O -2.070 8.774 7.567
O -2.049 1.118 7.703
O 1.127 3.377 2.969
O 3.063 5.267 0.687
O -0.113 8.218 5.422
O -0.091 0.475 5.471
O 3.085 4.021 0.736
O -0.967 4.970 8.733
O 2.210 8.516 3.998
O 2.231 0.772 4.048
O -0.945 3.723 8.782
O 0.991 5.613 6.501
O 4.167 7.872 1.766
O 4.188 0.216 1.902
O 1.012 4.279 6.637
O 5.057 0.840 1.069
O 1.880 3.655 5.803
O 5.278 5.714 2.712
O 2.101 7.771 7.447
O 1.599 0.797 8.391
O 4.776 3.698 3.657
O 2.367 0.101 7.484
O 5.543 4.394 2.749
O 3.915 0.881 5.182
O 7.091 3.615 0.447
O 7.232 4.847 0.551
O 4.056 8.638 5.285
```

Total magnetic moment ... 2.00 μB per formula unit
Crystal system ... monoclinic
ΔE to the lowest computed polymorph ... 219 meV per atom
Space group ... P2_1/c (14)

8.
# SrC10

A relaxed structure of SrC10 (GGA-PBE, Materials Project).

extended XYZ file:
```
66
Lattice="-5.532 5.532 5.532 5.532 -5.532 5.532 5.532 5.532 -5.532" Properties=species:S:1:pos:R:3 pbc="T T T"
Sr 5.532 2.518 0.000
Sr 5.532 0.000 3.014
Sr 3.014 5.532 0.000
Sr 2.518 0.000 5.532
Sr 0.000 5.532 2.518
Sr 0.000 3.014 5.532
C 4.815 -2.933 3.201
C 6.249 -2.933 3.201
C 3.073 -1.172 1.446
C 7.991 -1.172 1.446
C 3.524 0.000 0.727
C 7.539 0.000 0.727
C 2.599 2.331 -0.717
C 8.465 2.331 -0.717
C 4.360 4.085 -2.459
C 6.704 4.085 -2.459
C 3.201 4.815 -2.933
C 2.331 -0.717 2.599
C 1.446 3.073 -1.172
C 4.085 -2.459 4.360
C 3.073 1.172 1.446
C 7.991 1.172 1.446
C 5.532 4.805 -2.007
C 2.599 2.331 0.717
C 8.465 2.331 0.717
C 3.201 6.249 -2.933
C 2.331 0.717 2.599
C 0.727 3.524 0.000
C 4.805 -2.007 5.532
C 1.446 3.073 1.172
C 0.000 0.727 3.524
C 4.085 -2.459 6.704
C -1.172 1.446 3.073
C 1.172 1.446 3.073
C -0.717 2.599 2.331
C 0.717 2.599 2.331
C 4.815 2.933 3.201
C 6.249 2.933 3.201
C 4.360 4.085 2.459
C 6.704 4.085 2.459
C 1.446 7.991 -1.172
C 5.532 4.805 2.007
C 4.085 2.459 4.360
C 0.727 7.539 0.000
C 4.805 2.007 5.532
C 3.201 4.815 2.933
C 2.331 -0.717 8.465
C -2.933 3.201 4.815
C 2.933 3.201 4.815
C 0.000 0.727 7.539
C -2.459 4.360 4.085
C 2.459 4.360 4.085
C 1.446 7.991 1.172
C 4.085 2.459 6.704
C 3.201 6.249 2.933
C 2.331 0.717 8.465
C -1.172 1.446 7.991
C 1.172 1.446 7.991
C -2.933 3.201 6.249
C 2.933 3.201 6.249
C -2.007 5.532 4.805
C 2.007 5.532 4.805
C -2.459 6.704 4.085
C 2.459 6.704 4.085
C -0.717 8.465 2.331
C 0.717 8.465 2.331
```

Total magnetic moment ... 0.00 μB per formula unit
Crystal system ... cubic
Calculated total energy ... -8.33 eV/atom
Space group ... Im-3 (204)

9.
# HoSnAu2

A relaxed structure of HoSnAu2 (GGA-PBE, Materials Project).

extended XYZ file:
```
16
Lattice="7.035 0.000 0.000 0.000 7.035 0.000 0.000 0.000 7.035" Properties=species:S:1:pos:R:3 pbc="T T T"
Ho 0.000 0.000 0.000
Ho 0.000 3.518 3.518
Ho 3.518 0.000 3.518
Ho 3.518 3.518 0.000
Sn 0.000 0.000 3.518
Sn 0.000 3.518 0.000
Sn 3.518 0.000 0.000
Sn 3.518 3.518 3.518
Au 1.759 1.759 1.759
Au 1.759 1.759 5.276
Au 1.759 5.276 1.759
Au 1.759 5.276 5.276
Au 5.276 1.759 1.759
Au 5.276 1.759 5.276
Au 5.276 5.276 1.759
Au 5.276 5.276 5.276
```

Crystal system ... cubic
Calculated total energy ... -4.47 eV/atom
Space group ... Fm-3m (225)

10.
# Ga

A relaxed structure of Ga (GGA-PBE, Materials Project).

extended XYZ file:
```
22
Lattice="4.571 2.639 5.817 -4.571 2.639 5.817 0.000 -5.278 5.817" Properties=species:S:1:pos:R:3 pbc="T T T"
Ga 0.000 0.000 0.000
Ga -2.286 -1.320 5.817
Ga -3.188 -1.841 8.499
Ga 0.000 -2.738 4.702
Ga -2.371 1.369 4.702
Ga 0.000 -3.681 8.953
Ga -3.188 1.841 8.953
Ga 0.000 -1.614 7.365
Ga -1.397 0.807 7.365
Ga -1.397 -0.807 10.087
Ga -2.371 -1.369 12.750
Ga -2.286 1.320 11.635
Ga 0.000 2.639 5.817
Ga 2.371 1.369 4.702
Ga 1.397 0.807 7.365
Ga 1.397 -0.807 10.087
Ga 0.000 1.614 10.087
Ga 3.188 -1.841 8.499
Ga 0.000 3.681 8.499
Ga 2.371 -1.369 12.750
Ga 0.000 2.738 12.750
Ga 3.188 1.841 8.953
```

Crystal system ... trigonal
ΔE to the lowest computed polymorph ... 34 meV per atom
Space group ... R-3m (166)

11.
# Mg6CdCO8

A relaxed structure of Mg6CdCO8 (GGA-PBE, Materials Project).

extended XYZ file:
```
16
Lattice="4.326 0.000 0.000 0.000 4.326 0.000 0.000 0.000 8.673" Properties=species:S:1:pos:R:3 pbc="T T T"
Mg 0.000 0.000 0.000
Mg 0.000 2.163 2.159
Mg 0.000 2.163 6.514
Mg 2.163 0.000 2.159
Mg 2.163 0.000 6.514
Mg 2.163 2.163 0.000
Cd 0.000 0.000 4.337
C 2.163 2.163 4.337
O 0.000 0.000 2.035
O 0.000 0.000 6.638
O 0.000 2.163 0.000
O 0.000 2.163 4.337
O 2.163 0.000 0.000
O 2.163 0.000 4.337
O 2.163 2.163 2.175
O 2.163 2.163 6.498
```

MP2020-corrected energy ... -5.844 eV per atom
Total magnetic moment ... 0.00 μB per formula unit
Crystal system ... tetragonal
ΔE to the lowest computed polymorph ... 11 meV per atom
Space group ... P4/mmm (123)

12.
# Lu3Ru

A relaxed structure of Lu3Ru (GGA-PBE, Materials Project).

extended XYZ file:
```
16
Lattice="7.220 0.000 0.000 0.000 8.913 0.000 0.000 0.000 6.136" Properties=species:S:1:pos:R:3 pbc="T T T"
Lu 0.293 2.228 0.806
Lu 1.275 0.564 4.090
Lu 1.275 3.893 4.090
Lu 2.335 5.020 1.022
Lu 2.335 8.349 1.022
Lu 3.318 6.685 3.873
Lu 3.903 2.228 2.262
Lu 4.885 0.564 5.113
Lu 4.885 3.893 5.113
Lu 5.946 5.020 2.046
Lu 5.946 8.349 2.046
Lu 6.928 6.685 5.330
Ru 0.837 6.685 2.823
Ru 2.773 2.228 5.891
Ru 4.447 6.685 0.244
Ru 6.383 2.228 3.312
```

Total magnetic moment ... 0.00 μB per formula unit
Crystal system ... orthorhombic
Calculated total energy ... -6.11 eV/atom
Space group ... Pnma (62)

13.
# Cr5Si3C

A relaxed structure of Cr5Si3C (GGA-PBE, Materials Project).

extended XYZ file:
```
18
Lattice="6.931 0.000 0.000 -3.465 6.002 0.000 0.000 0.000 4.818" Properties=species:S:1:pos:R:3 pbc="T T T"
Cr -0.796 1.379 1.205
Cr -2.669 4.623 3.614
Cr 1.592 0.000 1.205
Cr 0.796 1.379 3.614
Cr 0.000 4.002 0.000
Cr 0.000 4.002 2.409
Cr 3.465 2.001 0.000
Cr 3.465 2.001 2.409
Cr 5.339 0.000 3.614
Cr 2.669 4.623 1.205
Si -1.406 2.435 3.614
Si -2.060 3.567 1.205
Si 2.812 0.000 3.614
Si 1.406 2.435 1.205
Si 4.119 0.000 1.205
Si 2.060 3.567 3.614
C 0.000 0.000 0.000
C 0.000 0.000 2.409
```

Total magnetic moment ... 1.09 μB per formula unit
Crystal system ... hexagonal
Calculated total energy ... -8.46 eV/atom
Space group ... P6_3/mcm (193)